Entry 1:
The following is a DFT calculation (PBE with a Hubbard U) of a relaxed Ca6MnBe4Si6HO24 crystal.

Cell: 9.9101 13.7077 13.9549 Å, 90.00 90.00 90.00°
Sites, in units of the cell vectors:
1 Ca 0.4964 0.8881 0.3837
2 Ca 0.9964 0.6119 0.1163
3 Ca 0.5036 0.1119 0.8837
4 Ca 0.0036 0.3881 0.6163
5 Ca 0.5036 0.1119 0.6163
6 Ca 0.0036 0.3881 0.8837
7 Ca 0.4964 0.8881 0.1163
8 Ca 0.9964 0.6119 0.3837
9 Ca 0.0096 0.1840 0.3882
10 Ca 0.5096 0.3160 0.1118
11 Ca 0.9904 0.8160 0.8882
12 Ca 0.4904 0.6840 0.6118
13 Ca 0.9904 0.8160 0.6118
14 Ca 0.4904 0.6840 0.8882
15 Ca 0.0096 0.1840 0.1118
16 Ca 0.5096 0.3160 0.3882
17 Ca 0.9995 0.9101 0.3921
18 Ca 0.4995 0.5899 0.1079
19 Ca 0.0005 0.0899 0.8921
20 Ca 0.5005 0.4101 0.6079
21 Ca 0.0005 0.0899 0.6079
22 Ca 0.5005 0.4101 0.8921
23 Ca 0.9995 0.9101 0.1079
24 Ca 0.4995 0.5899 0.3921
25 Mn 0.4993 0.1051 0.2500
26 Mn 0.9993 0.3949 0.2500
27 Mn 0.5007 0.8949 0.7500
28 Mn 0.0007 0.6051 0.7500
29 Be 0.7373 0.0983 0.4157
30 Be 0.2373 0.4017 0.0843
31 Be 0.2627 0.9017 0.9157
32 Be 0.7627 0.5983 0.5843
33 Be 0.2627 0.9017 0.5843
34 Be 0.7627 0.5983 0.9157
35 Be 0.7373 0.0983 0.0843
36 Be 0.2373 0.4017 0.4157
37 Be 0.7623 0.9617 0.7500
38 Be 0.2623 0.5383 0.7500
39 Be 0.2377 0.0383 0.2500
40 Be 0.7377 0.4617 0.2500
41 Be 0.7675 0.7714 0.2500
42 Be 0.2675 0.7286 0.2500
43 Be 0.2325 0.2286 0.7500
44 Be 0.7325 0.2714 0.7500
45 Si 0.7283 0.2427 0.2500
46 Si 0.2283 0.2573 0.2500
47 Si 0.2717 0.7573 0.7500
48 Si 0.7717 0.7427 0.7500
49 Si 0.7828 0.9847 0.2500
50 Si 0.2828 0.5153 0.2500
51 Si 0.2172 0.0153 0.7500
52 Si 0.7172 0.4847 0.7500
53 Si 0.7146 0.9506 0.5489
54 Si 0.2146 0.5494 0.9511
55 Si 0.2854 0.0494 0.0489
56 Si 0.7854 0.4506 0.4511
57 Si 0.2854 0.0494 0.4511
58 Si 0.7854 0.4506 0.0489
59 Si 0.7146 0.9506 0.9511
60 Si 0.2146 0.5494 0.5489
61 Si 0.7332 0.7515 0.4522
62 Si 0.2332 0.7485 0.0478
63 Si 0.2668 0.2485 0.9522
64 Si 0.7668 0.2515 0.5478
65 Si 0.2668 0.2485 0.5478
66 Si 0.7668 0.2515 0.9522
67 Si 0.7332 0.7515 0.0478
68 Si 0.2332 0.7485 0.4522
69 H 0.6796 0.6133 0.2500
70 H 0.1796 0.8867 0.2500
71 H 0.3204 0.3867 0.7500
72 H 0.8204 0.1133 0.7500
73 O 0.6577 0.8414 0.5145
74 O 0.1577 0.6586 0.9855
75 O 0.3423 0.1586 0.0145
76 O 0.8423 0.3414 0.4855
77 O 0.3423 0.1586 0.4855
78 O 0.8423 0.3414 0.0145
79 O 0.6577 0.8414 0.9855
80 O 0.1577 0.6586 0.5145
81 O 0.8958 0.7587 0.4564
82 O 0.3958 0.7413 0.0436
83 O 0.1042 0.2414 0.9564
84 O 0.6042 0.2586 0.5436
85 O 0.1042 0.2414 0.5436
86 O 0.6042 0.2586 0.9564
87 O 0.8958 0.7587 0.0436
88 O 0.3958 0.7413 0.4564
89 O 0.6692 0.6547 0.5044
90 O 0.1692 0.8453 0.9956
91 O 0.3308 0.3453 0.0044
92 O 0.8308 0.1547 0.4956
93 O 0.3308 0.3453 0.4956
94 O 0.8308 0.1547 0.0044
95 O 0.6692 0.6547 0.9956
96 O 0.1692 0.8453 0.5044
97 O 0.6683 0.7599 0.3447
98 O 0.1683 0.7401 0.1553
99 O 0.3317 0.2401 0.8447
100 O 0.8317 0.2599 0.6553
101 O 0.3317 0.2401 0.6553
102 O 0.8317 0.2599 0.8447
103 O 0.6683 0.7599 0.1553
104 O 0.1683 0.7401 0.3447
105 O 0.6382 0.0270 0.4759
106 O 0.1382 0.4730 0.0241
107 O 0.3618 0.9730 0.9759
108 O 0.8618 0.5270 0.5241
109 O 0.3618 0.9730 0.5241
110 O 0.8618 0.5270 0.9759
111 O 0.6382 0.0270 0.0241
112 O 0.1382 0.4730 0.4759
113 O 0.6533 0.9688 0.6579
114 O 0.1533 0.5312 0.8421
115 O 0.3467 0.0312 0.1579
116 O 0.8467 0.4688 0.3421
117 O 0.3467 0.0312 0.3421
118 O 0.8467 0.4688 0.1579
119 O 0.6533 0.9688 0.8421
120 O 0.1533 0.5312 0.6579
121 O 0.8780 0.9499 0.5476
122 O 0.3780 0.5501 0.9524
123 O 0.1220 0.0501 0.0476
124 O 0.6220 0.4499 0.4524
125 O 0.1220 0.0501 0.4524
126 O 0.6220 0.4499 0.0476
127 O 0.8780 0.9499 0.9524
128 O 0.3780 0.5501 0.5476
129 O 0.6608 0.1831 0.3431
130 O 0.1608 0.3169 0.1569
131 O 0.3392 0.8169 0.8431
132 O 0.8392 0.6831 0.6569
133 O 0.3392 0.8169 0.6569
134 O 0.8392 0.6831 0.8431
135 O 0.6608 0.1831 0.1569
136 O 0.1608 0.3169 0.3431
137 O 0.8422 0.0397 0.3463
138 O 0.3422 0.4603 0.1537
139 O 0.1578 0.9603 0.8463
140 O 0.6578 0.5397 0.6537
141 O 0.1578 0.9603 0.6537
142 O 0.6578 0.5397 0.8463
143 O 0.8422 0.0397 0.1537
144 O 0.3422 0.4603 0.3463
145 O 0.6163 0.9771 0.2500
146 O 0.1163 0.5229 0.2500
147 O 0.3837 0.0229 0.7500
148 O 0.8837 0.4771 0.7500
149 O 0.6597 0.3529 0.2500
150 O 0.1597 0.1471 0.2500
151 O 0.3403 0.6471 0.7500
152 O 0.8403 0.8529 0.7500
153 O 0.8928 0.2532 0.2500
154 O 0.3928 0.2468 0.2500
155 O 0.1072 0.7468 0.7500
156 O 0.6072 0.7532 0.7500
157 O 0.8510 0.8749 0.2500
158 O 0.3510 0.6251 0.2500
159 O 0.1490 0.1251 0.7500
160 O 0.6490 0.3749 0.7500
161 O 0.8688 0.0508 0.7500
162 O 0.3688 0.4492 0.7500
163 O 0.1312 0.9492 0.2500
164 O 0.6312 0.5508 0.2500
165 O 0.6179 0.1831 0.7500
166 O 0.1179 0.3169 0.7500
167 O 0.3821 0.8169 0.2500
168 O 0.8821 0.6831 0.2500

## Properties
Electronic total energy, eV per atom: -7.29
Symmetry: Pnma
Magnetic moment, μB/cell: 22.72
Energy of formation from the pure elements, eV per atom: -3.179
Corrected total energy (MP2020 scheme), eV/atom: -7.723

Entry 2:
The following is a DFT calculation (PBE with a Hubbard U) of a relaxed CaMnBe2Si5O17 crystal.

Cell: 8.6334 4.7738 32.2107 Å, 81.66 90.00 90.00°
Sites, in units of the cell vectors:
1 Ca 0.2471 0.9109 0.0834
2 Ca 0.7471 0.0891 0.4166
3 Ca 0.7529 0.0891 0.9166
4 Ca 0.2529 0.9109 0.5834
5 Mn 0.5000 0.0000 0.0000
6 Mn 0.0000 0.0000 0.5000
7 Mn 0.5000 0.0000 0.5000
8 Mn 0.0000 0.0000 0.0000
9 Be 0.5006 0.4985 0.0569
10 Be 0.0006 0.5015 0.4431
11 Be 0.4995 0.6128 0.4433
12 Be 0.9995 0.3872 0.0567
13 Be 0.4994 0.5015 0.9431
14 Be 0.9994 0.4985 0.5569
15 Be 0.5005 0.3872 0.5567
16 Be 0.0005 0.6128 0.9433
17 Si 0.2484 0.5027 0.9991
18 Si 0.7484 0.4973 0.5009
19 Si 0.7516 0.4973 0.0009
20 Si 0.2516 0.5027 0.4991
21 Si 0.9224 0.8840 0.2286
22 Si 0.4224 0.1160 0.2714
23 Si 0.0778 0.3419 0.2713
24 Si 0.5778 0.6581 0.2287
25 Si 0.0776 0.1160 0.7714
26 Si 0.5776 0.8840 0.7286
27 Si 0.9222 0.6581 0.7287
28 Si 0.4222 0.3419 0.7713
29 Si 0.3654 0.3762 0.8658
30 Si 0.8654 0.6238 0.6342
31 Si 0.6345 0.1087 0.6340
32 Si 0.1345 0.8913 0.8660
33 Si 0.6346 0.6238 0.1342
34 Si 0.1346 0.3762 0.3658
35 Si 0.3655 0.8913 0.3660
36 Si 0.8655 0.1087 0.1340
37 O 0.3565 0.3402 0.9690
38 O 0.8565 0.6598 0.5310
39 O 0.6390 0.2622 0.5293
40 O 0.1390 0.7378 0.9707
41 O 0.6435 0.6598 0.0310
42 O 0.1435 0.3402 0.4690
43 O 0.3610 0.7378 0.4707
44 O 0.8610 0.2622 0.0293
45 O 0.3506 0.6799 0.0299
46 O 0.8506 0.3201 0.4701
47 O 0.6460 0.7533 0.4721
48 O 0.1460 0.2467 0.0279
49 O 0.6494 0.3201 0.9701
50 O 0.1494 0.6799 0.5299
51 O 0.3540 0.2467 0.5279
52 O 0.8540 0.7533 0.9721
53 O 0.4436 0.8459 0.2472
54 O 0.9436 0.1541 0.2528
55 O 0.5565 0.3403 0.2531
56 O 0.0565 0.6597 0.2469
57 O 0.5564 0.1541 0.7528
58 O 0.0564 0.8459 0.7472
59 O 0.4435 0.6597 0.7469
60 O 0.9435 0.3403 0.7531
61 O 0.2498 0.2411 0.7600
62 O 0.7498 0.7589 0.7400
63 O 0.7502 0.7589 0.2400
64 O 0.2502 0.2411 0.2600
65 O 0.2505 0.1156 0.8845
66 O 0.7505 0.8844 0.6155
67 O 0.7495 0.8844 0.1155
68 O 0.2495 0.1156 0.3845
69 O 0.2494 0.6455 0.8541
70 O 0.7494 0.3545 0.6459
71 O 0.7506 0.3545 0.1459
72 O 0.2506 0.6455 0.3541
73 O 0.4464 0.3169 0.8216
74 O 0.9464 0.6831 0.6784
75 O 0.5537 0.9602 0.6780
76 O 0.0537 0.0398 0.8220
77 O 0.5536 0.6831 0.1784
78 O 0.0536 0.3169 0.3216
79 O 0.4463 0.0398 0.3220
80 O 0.9463 0.9602 0.1780
81 O 0.5081 0.4213 0.8971
82 O 0.0081 0.5787 0.6029
83 O 0.4922 0.2159 0.6024
84 O 0.9922 0.7841 0.8976
85 O 0.4919 0.5787 0.1029
86 O 0.9919 0.4213 0.3971
87 O 0.5078 0.7841 0.3976
88 O 0.0078 0.2159 0.1024
89 O 0.4669 0.1729 0.0486
90 O 0.9669 0.8271 0.4514
91 O 0.5299 0.2758 0.4513
92 O 0.0299 0.7242 0.0487
93 O 0.5331 0.8271 0.9514
94 O 0.0331 0.1729 0.5486
95 O 0.4701 0.7242 0.5487
96 O 0.9701 0.2758 0.9513
97 O 0.2851 0.2338 0.1552
98 O 0.7851 0.7662 0.3448
99 O 0.7149 0.5438 0.3446
100 O 0.2149 0.4562 0.1554
101 O 0.7149 0.7662 0.8448
102 O 0.2149 0.2338 0.6552
103 O 0.2851 0.4562 0.6554
104 O 0.7851 0.5438 0.8446

## Properties
Electronic total energy, eV per atom: -7.30
Symmetry: P2_1/c
Magnetic moment, μB/cell: 0.39
Energy of formation from the pure elements, eV per atom: -2.472
Corrected total energy (MP2020 scheme), eV/atom: -7.467

Entry 3:
The following is a DFT calculation (PBE with a Hubbard U) of a relaxed Be2CoH6N2F8 crystal.

Cell: 13.2846 5.9590 6.3998 Å, 80.06 90.00 90.00°
Sites, in units of the cell vectors:
1 Be 0.4038 0.6661 0.9638
2 Be 0.5962 0.3339 0.0362
3 Be 0.9038 0.3339 0.5362
4 Be 0.0962 0.6661 0.4638
5 Co 0.5000 0.5000 0.5000
6 Co 0.0000 0.5000 0.0000
7 H 0.4691 0.7317 0.6348
8 H 0.5309 0.2683 0.3652
9 H 0.9691 0.2683 0.8652
10 H 0.0309 0.7317 0.1348
11 H 0.1080 0.3579 0.0038
12 H 0.8920 0.6421 0.9962
13 H 0.6080 0.6421 0.4962
14 H 0.3920 0.3579 0.5038
15 H 0.3783 0.4569 0.5704
16 H 0.6217 0.5431 0.4296
17 H 0.8783 0.5431 0.9296
18 H 0.1217 0.4569 0.0704
19 N 0.6615 0.9618 0.8809
20 N 0.3385 0.0382 0.1191
21 N 0.1615 0.0382 0.6191
22 N 0.8385 0.9618 0.3809
23 F 0.1742 0.9893 0.8288
24 F 0.8258 0.0107 0.1712
25 F 0.6742 0.0107 0.6712
26 F 0.3258 0.9893 0.3288
27 F 0.4515 0.8299 0.7536
28 F 0.5485 0.1701 0.2464
29 F 0.9515 0.1701 0.7464
30 F 0.0485 0.8299 0.2536
31 F 0.0301 0.6455 0.6493
32 F 0.9699 0.3545 0.3507
33 F 0.5301 0.3545 0.8507
34 F 0.4699 0.6455 0.1493
35 F 0.3113 0.5617 0.9220
36 F 0.6887 0.4383 0.0780
37 F 0.8113 0.4383 0.5780
38 F 0.1887 0.5617 0.4220

## Properties
Electronic total energy, eV per atom: -4.22
Symmetry: P2_1/c
Magnetic moment, μB/cell: 6.00
Energy of formation from the pure elements, eV per atom: -0.978
Corrected total energy (MP2020 scheme), eV/atom: -4.500

Entry 4:
The following is a DFT calculation (PBE with a Hubbard U) of a relaxed Be2CoH6N2F8 crystal.

Cell: 5.4708 9.7998 9.9352 Å, 90.00 90.00 134.02°
Sites, in units of the cell vectors:
1 Be 0.9077 0.5845 0.8048
2 Be 0.0923 0.4155 0.1952
3 Be 0.0923 0.9155 0.3048
4 Be 0.9077 0.0845 0.6952
5 Co 0.5000 0.0000 0.0000
6 Co 0.5000 0.5000 0.5000
7 H 0.7397 0.9294 0.0093
8 H 0.2603 0.0706 0.9907
9 H 0.2603 0.5706 0.5093
10 H 0.7397 0.4294 0.4907
11 H 0.4037 0.6552 0.5537
12 H 0.5963 0.3448 0.4463
13 H 0.5963 0.8448 0.0537
14 H 0.4037 0.1552 0.9463
15 H 0.1149 0.9065 0.6655
16 H 0.8851 0.0935 0.3345
17 H 0.8851 0.5935 0.1655
18 H 0.1149 0.4065 0.8345
19 N 0.8304 0.4702 0.1858
20 N 0.1696 0.5298 0.8142
21 N 0.1696 0.0298 0.6858
22 N 0.8304 0.9702 0.3142
23 F 0.8410 0.6207 0.6596
24 F 0.1590 0.3793 0.3404
25 F 0.1590 0.8793 0.1596
26 F 0.8410 0.1207 0.8404
27 F 0.1322 0.7745 0.8877
28 F 0.8678 0.2255 0.1123
29 F 0.8678 0.7255 0.3877
30 F 0.1322 0.2745 0.6123
31 F 0.5958 0.9081 0.6311
32 F 0.4042 0.0919 0.3689
33 F 0.4042 0.5919 0.1311
34 F 0.5958 0.4081 0.8689
35 F 0.5115 0.6711 0.8382
36 F 0.4885 0.3289 0.1618
37 F 0.4885 0.8289 0.3382
38 F 0.5115 0.1711 0.6618

## Properties
Electronic total energy, eV per atom: -4.60
Symmetry: P2_1/c
Magnetic moment, μB/cell: 9.98
Energy of formation from the pure elements, eV per atom: -1.359
Corrected total energy (MP2020 scheme), eV/atom: -4.881

Entry 5:
The following is a DFT calculation (PBE with a Hubbard U) of a relaxed Be2CoH20N2O6F8 crystal.

Cell: 12.6376 6.2005 9.3549 Å, 73.25 90.00 90.00°
Sites, in units of the cell vectors:
1 Be 0.3546 0.2539 0.9016
2 Be 0.6454 0.7461 0.0984
3 Be 0.1454 0.2539 0.4016
4 Be 0.8546 0.7461 0.5984
5 Co 0.5000 0.0000 0.5000
6 Co 0.0000 0.0000 0.0000
7 H 0.3579 0.3375 0.4642
8 H 0.8579 0.6625 0.0358
9 H 0.6421 0.6625 0.5358
10 H 0.1421 0.3375 0.9642
11 H 0.4357 0.3351 0.6001
12 H 0.9357 0.6649 0.8999
13 H 0.5643 0.6649 0.3999
14 H 0.0643 0.3351 0.1001
15 H 0.6839 0.0138 0.6423
16 H 0.1839 0.9862 0.8577
17 H 0.3161 0.9862 0.3577
18 H 0.8161 0.0138 0.1423
19 H 0.5983 0.9344 0.7703
20 H 0.0983 0.0656 0.7297
21 H 0.4017 0.0656 0.2297
22 H 0.9017 0.9344 0.2703
23 H 0.6299 0.1062 0.2534
24 H 0.1299 0.8938 0.2466
25 H 0.3701 0.8938 0.7466
26 H 0.8701 0.1062 0.7534
27 H 0.5916 0.3341 0.2845
28 H 0.0916 0.6659 0.2155
29 H 0.4084 0.6659 0.7155
30 H 0.9084 0.3341 0.7845
31 H 0.9327 0.3520 0.3302
32 H 0.4327 0.6480 0.1698
33 H 0.0673 0.6480 0.6698
34 H 0.5673 0.3520 0.8302
35 H 0.8623 0.5057 0.4163
36 H 0.3623 0.4943 0.0837
37 H 0.1377 0.4943 0.5837
38 H 0.6377 0.5057 0.9163
39 H 0.8040 0.4110 0.2841
40 H 0.3040 0.5890 0.2159
41 H 0.1960 0.5890 0.7159
42 H 0.6960 0.4110 0.7841
43 H 0.8367 0.2251 0.4532
44 H 0.3367 0.7749 0.0468
45 H 0.6633 0.2251 0.9532
46 H 0.1633 0.7749 0.5468
47 N 0.1421 0.6290 0.6285
48 N 0.3579 0.6290 0.1285
49 N 0.6421 0.3710 0.8715
50 N 0.8579 0.3710 0.3715
51 O 0.6088 0.0317 0.6663
52 O 0.1088 0.9683 0.8337
53 O 0.3912 0.9683 0.3337
54 O 0.8912 0.0317 0.1663
55 O 0.6115 0.1757 0.3328
56 O 0.1115 0.8243 0.1672
57 O 0.3885 0.8243 0.6672
58 O 0.8885 0.1757 0.8328
59 O 0.4305 0.2980 0.5044
60 O 0.0695 0.2980 0.0044
61 O 0.9305 0.7020 0.9956
62 O 0.5695 0.7020 0.4956
63 F 0.0651 0.3741 0.2736
64 F 0.5651 0.6259 0.2264
65 F 0.4349 0.3741 0.7736
66 F 0.9349 0.6259 0.7264
67 F 0.5920 0.7702 0.9447
68 F 0.0920 0.2298 0.5553
69 F 0.4080 0.2298 0.0553
70 F 0.9080 0.7702 0.4447
71 F 0.7434 0.5860 0.1140
72 F 0.2434 0.4140 0.3860
73 F 0.2566 0.4140 0.8860
74 F 0.7566 0.5860 0.6140
75 F 0.3202 0.0178 0.8845
76 F 0.6798 0.9822 0.1155
77 F 0.1798 0.0178 0.3845
78 F 0.8202 0.9822 0.6155

## Properties
Electronic total energy, eV per atom: -5.07
Symmetry: P2_1/c
Magnetic moment, μB/cell: 2.00
Energy of formation from the pure elements, eV per atom: -1.617
Corrected total energy (MP2020 scheme), eV/atom: -5.313